Computed, not measured: a geometry-optimized AlCuGeSe4 structure at the GGA-PBE level of DFT.

Structure (CIF):
```
data_AlCuGeSe4
_symmetry_space_group_name_H-M 'I -4'
_symmetry_Int_Tables_number 82
_symmetry_space_group_name_Hall 'I -4'
_cell_length_a 5.585
_cell_length_b 5.585
_cell_length_c 10.764
_cell_angle_alpha 90.00
_cell_angle_beta 90.00
_cell_angle_gamma 90.00
loop_
_atom_site_label
_atom_site_type_symbol
_atom_site_fract_x
_atom_site_fract_y
_atom_site_fract_z
Al1 Al 0.000 0.000 0.000
Cu1 Cu 0.000 0.500 0.750
Ge1 Ge 0.000 0.500 0.250
Se1 Se 0.238 0.239 0.382
```

The value obtained for the total energy is -4.25 eV per atom. Its total moment is 0.00 μB per formula unit.

---

Computed, not measured: a geometry-optimized NbBi4BrO8 structure at the GGA-PBE level of DFT.

Structure (CIF):
```
data_NbBi4BrO8
_symmetry_space_group_name_H-M 'P n a 21'
_symmetry_Int_Tables_number 33
_symmetry_space_group_name_Hall 'P 2c -2n'
_cell_length_a 29.813
_cell_length_b 5.654
_cell_length_c 5.581
_cell_angle_alpha 90.00
_cell_angle_beta 90.00
_cell_angle_gamma 90.00
loop_
_atom_site_label
_atom_site_type_symbol
_atom_site_fract_x
_atom_site_fract_y
_atom_site_fract_z
Nb1 Nb 0.250 0.243 0.000
Bi1 Bi 0.073 0.258 0.018
Bi2 Bi 0.073 0.758 0.499
Bi3 Bi 0.158 0.303 0.529
Bi4 Bi 0.160 0.806 0.987
Br1 Br 0.002 0.750 0.007
O1 O 0.108 0.495 0.757
O2 O 0.108 0.998 0.756
O3 O 0.109 0.505 0.264
O4 O 0.110 0.005 0.254
O5 O 0.187 0.168 0.896
O6 O 0.188 0.669 0.615
O7 O 0.232 0.947 0.247
O8 O 0.233 0.454 0.243
```

The value obtained for the total energy is -6.37 eV per atom. Its total moment is 0.00 μB per formula unit.

---

Computed, not measured: a geometry-optimized Sr4LiSm2Ta2O12 structure at the GGA-PBE level of DFT.

Structure (CIF):
```
data_Sr4LiSm2Ta2O12
_symmetry_space_group_name_H-M 'P 1'
_symmetry_Int_Tables_number 1
_symmetry_space_group_name_Hall 'P 1'
_cell_length_a 5.846
_cell_length_b 6.175
_cell_length_c 8.427
_cell_angle_alpha 88.98
_cell_angle_beta 89.45
_cell_angle_gamma 89.31
loop_
_atom_site_label
_atom_site_type_symbol
_atom_site_fract_x
_atom_site_fract_y
_atom_site_fract_z
Sr1 Sr 0.000 0.000 0.000
Sr2 Sr 0.043 0.147 0.528
Sr3 Sr 0.515 0.649 0.528
Sr4 Sr 0.568 0.552 0.028
Li1 Li 0.179 0.329 0.117
Sm1 Sm 0.031 0.583 0.775
Sm2 Sm 0.545 0.103 0.279
Ta1 Ta 0.031 0.616 0.289
Ta2 Ta 0.520 0.098 0.776
O1 O 0.124 0.617 0.047
O2 O 0.221 0.870 0.333
O3 O 0.245 0.904 0.740
O4 O 0.313 0.411 0.316
O5 O 0.337 0.364 0.714
O6 O 0.411 0.150 0.013
O7 O 0.616 0.063 0.547
O8 O 0.709 0.823 0.830
O9 O 0.753 0.788 0.231
O10 O 0.798 0.283 0.821
O11 O 0.868 0.319 0.222
O12 O 0.933 0.566 0.511
```

The value obtained for the total energy is -7.72 eV per atom. The energy above the lowest structure with this stoichiometry is 0.000 eV/atom. Its total moment is 0.00 μB per formula unit.

---

Computed, not measured: a geometry-optimized MnCdTe structure at the GGA-PBE level of DFT.

Structure (CIF):
```
data_MnCdTe
_symmetry_space_group_name_H-M 'C 1 c 1'
_symmetry_Int_Tables_number 9
_symmetry_space_group_name_Hall 'C -2yc'
_cell_length_a 8.424
_cell_length_b 6.578
_cell_length_c 5.220
_cell_angle_alpha 90.00
_cell_angle_beta 128.08
_cell_angle_gamma 90.00
loop_
_atom_site_label
_atom_site_type_symbol
_atom_site_fract_x
_atom_site_fract_y
_atom_site_fract_z
Mn1 Mn 0.000 0.004 0.000
Cd1 Cd 0.341 0.163 0.599
Te1 Te 0.168 0.328 0.924
```

The value obtained for the total energy is -4.24 eV per atom. The energy above the lowest structure with this stoichiometry is 0.018 eV/atom. Its total moment is 2.71 μB per formula unit.

---

Computed, not measured: a geometry-optimized CeSe2 structure at the GGA-PBE level of DFT.

Structure (CIF):
```
data_CeSe2
_symmetry_space_group_name_H-M 'P 42/m n m'
_symmetry_Int_Tables_number 136
_symmetry_space_group_name_Hall '-P 4n 2n'
_cell_length_a 6.651
_cell_length_b 6.651
_cell_length_c 4.402
_cell_angle_alpha 90.00
_cell_angle_beta 90.00
_cell_angle_gamma 90.00
loop_
_atom_site_label
_atom_site_type_symbol
_atom_site_fract_x
_atom_site_fract_y
_atom_site_fract_z
Ce1 Ce 0.000 0.000 0.000
Se1 Se 0.194 0.194 0.500
```

The value obtained for the total energy is -5.79 eV per atom. Its total moment is 0.00 μB per formula unit.

---

Computed, not measured: a geometry-optimized Nb3GaP6O24 structure at the GGA-PBE level of DFT.

Structure (CIF):
```
data_Nb3GaP6O24
_symmetry_space_group_name_H-M 'P 3'
_symmetry_Int_Tables_number 143
_symmetry_space_group_name_Hall 'P 3'
_cell_length_a 8.7379
_cell_length_b 8.7379
_cell_length_c 22.5304
_cell_angle_alpha 90.00
_cell_angle_beta 90.00
_cell_angle_gamma 120.00
loop_
_atom_site_label
_atom_site_type_symbol
_atom_site_fract_x
_atom_site_fract_y
_atom_site_fract_z
Nb1 Nb 0.0000 0.0000 0.0000
Nb2 Nb 0.0000 0.0000 0.2144
Nb3 Nb 0.0000 0.0000 0.5072
Nb4 Nb 0.3333 0.6667 0.1663
Nb5 Nb 0.3333 0.6667 0.3866
Nb6 Nb 0.3333 0.6667 0.6664
Nb7 Nb 0.3333 0.6667 0.8813
Nb8 Nb 0.6667 0.3333 0.3379
Nb9 Nb 0.6667 0.3333 0.8333
Ga1 Ga 0.0000 0.0000 0.7136
Ga2 Ga 0.6667 0.3333 0.0473
Ga3 Ga 0.6667 0.3333 0.5515
P1 P 0.0492 0.3825 0.2762
P2 P 0.0493 0.6762 0.7745
P3 P 0.2921 0.0105 0.6118
P4 P 0.2937 0.2841 0.1079
P5 P 0.3834 0.3303 0.4459
P6 P 0.3888 0.0517 0.9446
O1 O 0.0261 0.8338 0.7675
O2 O 0.0268 0.1974 0.2666
O3 O 0.0302 0.1991 0.5551
O4 O 0.0317 0.8314 0.0547
O5 O 0.1331 0.6346 0.7212
O6 O 0.1338 0.4975 0.2211
O7 O 0.1344 0.6399 0.4325
O8 O 0.1363 0.4948 0.9333
O9 O 0.1614 0.6946 0.1198
O10 O 0.1620 0.4671 0.6192
O11 O 0.1628 0.6955 0.8310
O12 O 0.1640 0.4664 0.3315
O13 O 0.1964 0.1701 0.4513
O14 O 0.1993 0.0276 0.9531
O15 O 0.1993 0.1705 0.1643
O16 O 0.2035 0.0343 0.6658
O17 O 0.4668 0.1651 0.8885
O18 O 0.4682 0.3047 0.3880
O19 O 0.4727 0.1644 0.5995
O20 O 0.4747 0.3071 0.1011
O21 O 0.4948 0.3614 0.7867
O22 O 0.4958 0.1357 0.2857
O23 O 0.4972 0.1286 0.0001
O24 O 0.5000 0.3695 0.4989
```

The value obtained for the total energy is -7.75 eV per atom. Its total moment is 0.00 μB per formula unit.

---

Computed, not measured: a geometry-optimized GaPtO2 structure at the GGA-PBE level of DFT.

Structure (CIF):
```
data_GaPtO2
_symmetry_space_group_name_H-M 'R -3 m'
_symmetry_Int_Tables_number 166
_symmetry_space_group_name_Hall '-R 3 2"'
_cell_length_a 2.9533
_cell_length_b 2.9533
_cell_length_c 18.5324
_cell_angle_alpha 90.00
_cell_angle_beta 90.00
_cell_angle_gamma 120.00
loop_
_atom_site_label
_atom_site_type_symbol
_atom_site_fract_x
_atom_site_fract_y
_atom_site_fract_z
Ga1 Ga 0.0000 0.0000 0.0000
Pt1 Pt 0.0000 0.0000 0.5000
O1 O 0.0000 0.0000 0.3890
```

The value obtained for the total energy is -5.94 eV per atom. Its total moment is 0.00 μB per formula unit.

---

Computed, not measured: a geometry-optimized Nd6Fe13Sn structure at the GGA-PBE level of DFT.

Structure (CIF):
```
data_Nd6Fe13Sn
_symmetry_space_group_name_H-M 'I 4/m c m'
_symmetry_Int_Tables_number 140
_symmetry_space_group_name_Hall '-I 4 2c'
_cell_length_a 8.068
_cell_length_b 8.068
_cell_length_c 23.503
_cell_angle_alpha 90.00
_cell_angle_beta 90.00
_cell_angle_gamma 90.00
loop_
_atom_site_label
_atom_site_type_symbol
_atom_site_fract_x
_atom_site_fract_y
_atom_site_fract_z
Nd1 Nd 0.000 0.000 0.104
Nd2 Nd 0.164 0.336 0.185
Fe1 Fe 0.000 0.500 0.000
Fe2 Fe 0.066 0.210 0.500
Fe3 Fe 0.113 0.387 0.407
Fe4 Fe 0.179 0.321 0.058
Sn1 Sn 0.000 0.000 0.250
```

The value obtained for the total energy is -7.22 eV per atom. Its total moment is 25.93 μB per formula unit.

---

Computed, not measured: a geometry-optimized U2H12C2Se3N6O16 structure at the GGA-PBE level of DFT.

Structure (CIF):
```
data_U2H12C2Se3N6O16
_symmetry_space_group_name_H-M 'P 1 2 1'
_symmetry_Int_Tables_number 3
_symmetry_space_group_name_Hall 'P 2y'
_cell_length_a 10.305
_cell_length_b 9.881
_cell_length_c 10.314
_cell_angle_alpha 90.00
_cell_angle_beta 90.30
_cell_angle_gamma 90.00
loop_
_atom_site_label
_atom_site_type_symbol
_atom_site_fract_x
_atom_site_fract_y
_atom_site_fract_z
U1 U 0.191 0.000 0.298
U2 U 0.298 0.766 0.805
H1 H 0.052 0.677 0.434
H2 H 0.072 0.318 0.411
H3 H 0.085 0.560 0.004
H4 H 0.113 0.201 0.014
H5 H 0.124 0.473 0.346
H6 H 0.198 0.353 0.010
H7 H 0.367 0.292 0.853
H8 H 0.380 0.351 0.342
H9 H 0.430 0.444 0.910
H10 H 0.431 0.198 0.410
H11 H 0.440 0.085 0.942
H12 H 0.450 0.557 0.432
C1 C 0.000 0.372 0.000
C2 C 0.000 0.488 0.500
C3 C 0.500 0.275 0.000
C4 C 0.500 0.369 0.500
Se1 Se 0.000 0.889 0.000
Se2 Se 0.164 0.084 0.655
Se3 Se 0.344 0.678 0.162
Se4 Se 0.500 0.886 0.500
N1 N 0.000 0.507 0.000
N2 N 0.000 0.623 0.500
N3 N 0.067 0.421 0.410
N4 N 0.112 0.304 0.007
N5 N 0.415 0.343 0.925
N6 N 0.438 0.301 0.406
N7 N 0.500 0.141 0.000
N8 N 0.500 0.504 0.500
O1 O 0.013 0.116 0.712
O2 O 0.079 0.791 0.895
O3 O 0.106 0.991 0.077
O4 O 0.114 0.851 0.363
O5 O 0.162 0.121 0.495
O6 O 0.190 0.916 0.668
O7 O 0.232 0.614 0.735
O8 O 0.267 0.151 0.233
O9 O 0.273 0.176 0.731
O10 O 0.275 0.582 0.273
O11 O 0.282 0.643 0.014
O12 O 0.328 0.845 0.189
O13 O 0.366 0.912 0.884
O14 O 0.393 0.990 0.428
O15 O 0.430 0.784 0.608
O16 O 0.496 0.641 0.841
```

The value obtained for the total energy is -6.40 eV per atom. Its total moment is 0.00 μB per formula unit.

---

Computed, not measured: a geometry-optimized GdHg3 structure at the GGA-PBE level of DFT.

Structure (CIF):
```
data_GdHg3
_symmetry_space_group_name_H-M 'P 63/m m c'
_symmetry_Int_Tables_number 194
_symmetry_space_group_name_Hall '-P 6c 2c'
_cell_length_a 6.7343
_cell_length_b 6.7343
_cell_length_c 5.0767
_cell_angle_alpha 90.00
_cell_angle_beta 90.00
_cell_angle_gamma 120.00
loop_
_atom_site_label
_atom_site_type_symbol
_atom_site_fract_x
_atom_site_fract_y
_atom_site_fract_z
Gd1 Gd 0.3333 0.6667 0.2500
Hg1 Hg 0.1650 0.3299 0.7500
```

The value obtained for the total energy is -4.12 eV per atom.

---

Computed, not measured: a geometry-optimized AgRhS2O8 structure at the GGA-PBE level of DFT.

Structure (CIF):
```
data_AgRhS2O8
_symmetry_space_group_name_H-M 'C 1 2/m 1'
_symmetry_Int_Tables_number 12
_symmetry_space_group_name_Hall '-C 2y'
_cell_length_a 8.083
_cell_length_b 5.198
_cell_length_c 7.514
_cell_angle_alpha 90.00
_cell_angle_beta 93.51
_cell_angle_gamma 90.00
loop_
_atom_site_label
_atom_site_type_symbol
_atom_site_fract_x
_atom_site_fract_y
_atom_site_fract_z
Ag1 Ag 0.000 0.000 0.000
Rh1 Rh 0.000 0.000 0.500
S1 S 0.134 0.500 0.288
O1 O 0.022 0.263 0.296
O2 O 0.208 0.500 0.117
O3 O 0.248 0.500 0.452
```

The value obtained for the total energy is -5.84 eV per atom. Its total moment is 0.00 μB per formula unit.

---

Computed, not measured: a geometry-optimized LiY2Pt structure at the GGA-PBE level of DFT.

Structure (CIF):
```
data_LiY2Pt
_symmetry_space_group_name_H-M 'F m -3 m'
_symmetry_Int_Tables_number 225
_symmetry_space_group_name_Hall '-F 4 2 3'
_cell_length_a 7.064
_cell_length_b 7.064
_cell_length_c 7.064
_cell_angle_alpha 90.00
_cell_angle_beta 90.00
_cell_angle_gamma 90.00
loop_
_atom_site_label
_atom_site_type_symbol
_atom_site_fract_x
_atom_site_fract_y
_atom_site_fract_z
Li1 Li 0.000 0.000 0.000
Y1 Y 0.250 0.250 0.250
Pt1 Pt 0.000 0.000 0.500
```

The value obtained for the total energy is -5.89 eV per atom. Its total moment is 0.01 μB per formula unit.

---

Asked for theoretical density across the records above, the calculation gives 4.7; 8.0; 6.6; 8.6; 5.1; 3.1; 10.6; 7.4; 3.4; 12.6; 4.2; 7.2 Mg/m³ in order.
Asked for calculated formation energy across the records above, the calculation gives -0.74; -1.98; -3.30; 0.03; -1.79; -2.81; -1.54; -0.09; -1.27; -0.37; -1.46; -0.66 eV/atom in order.